# 1
Below is a geometry-optimized FeOF structure, with properties calculated at the PBE with a Hubbard U level.

Total magnetic moment: 4.94 μB/f.u.
Energy of formation: -2.032 eV per atom
VASP energy: -6.01 eV per atom

Geometry as CIF:
```
data_FeOF
_cell_length_a 14.323
_cell_length_b 3.109
_cell_length_c 14.415
_cell_angle_alpha 90.00
_cell_angle_beta 90.14
_cell_angle_gamma 90.00
_symmetry_space_group_name_H-M 'P 1 m 1'
_symmetry_Int_Tables_number 6
_symmetry_space_group_name_Hall 'P -2y'
loop_
_atom_site_label
_atom_site_type_symbol
_atom_site_fract_x
_atom_site_fract_y
_atom_site_fract_z
Fe1 Fe 0.000 0.000 0.000
Fe2 Fe 0.000 0.000 0.333
Fe3 Fe 0.013 0.000 0.653
Fe4 Fe 0.181 0.500 0.513
Fe5 Fe 0.193 0.500 0.834
Fe6 Fe 0.194 0.500 0.168
Fe7 Fe 0.332 0.000 0.000
Fe8 Fe 0.333 0.000 0.667
Fe9 Fe 0.343 0.000 0.327
Fe10 Fe 0.526 0.500 0.834
Fe11 Fe 0.527 0.500 0.501
Fe12 Fe 0.531 0.500 0.162
Fe13 Fe 0.666 0.000 0.333
Fe14 Fe 0.666 0.000 0.667
Fe15 Fe 0.675 0.000 0.992
Fe16 Fe 0.846 0.500 0.846
Fe17 Fe 0.860 0.500 0.167
Fe18 Fe 0.860 0.500 0.501
O1 O 0.077 0.500 0.601
O2 O 0.243 0.000 0.231
O3 O 0.245 0.000 0.896
O4 O 0.247 0.000 0.560
O5 O 0.281 0.500 0.728
O6 O 0.282 0.500 0.064
O7 O 0.575 0.000 0.896
O8 O 0.578 0.000 0.562
O9 O 0.581 0.000 0.226
O10 O 0.613 0.500 0.395
O11 O 0.615 0.500 0.730
O12 O 0.620 0.500 0.060
O13 O 0.743 0.500 0.936
O14 O 0.908 0.000 0.566
O15 O 0.911 0.000 0.895
O16 O 0.912 0.000 0.230
O17 O 0.948 0.500 0.062
O18 O 0.949 0.500 0.398
F1 F 0.078 0.500 0.266
F2 F 0.078 0.500 0.933
F3 F 0.112 0.000 0.770
F4 F 0.115 0.000 0.099
F5 F 0.118 0.000 0.431
F6 F 0.280 0.500 0.399
F7 F 0.410 0.500 0.933
F8 F 0.412 0.500 0.599
F9 F 0.417 0.500 0.263
F10 F 0.446 0.000 0.433
F11 F 0.447 0.000 0.765
F12 F 0.450 0.000 0.098
F13 F 0.744 0.500 0.599
F14 F 0.745 0.500 0.268
F15 F 0.781 0.000 0.432
F16 F 0.783 0.000 0.104
F17 F 0.783 0.000 0.764
F18 F 0.947 0.500 0.731
```



# 2
Below is a geometry-optimized Fe2AsO4F structure, with properties calculated at the PBE with a Hubbard U level.

Total magnetic moment: 8.00 μB/f.u.
Energy of formation: -1.885 eV per atom
VASP energy: -6.33 eV per atom

Geometry as CIF:
```
data_Fe2AsO4F
_cell_length_a 13.518
_cell_length_b 6.711
_cell_length_c 10.242
_cell_angle_alpha 90.00
_cell_angle_beta 116.99
_cell_angle_gamma 90.00
_symmetry_space_group_name_H-M 'C 1 c 1'
_symmetry_Int_Tables_number 9
_symmetry_space_group_name_Hall 'C -2yc'
loop_
_atom_site_label
_atom_site_type_symbol
_atom_site_fract_x
_atom_site_fract_y
_atom_site_fract_z
Fe1 Fe 0.000 0.107 0.000
Fe2 Fe 0.092 0.266 0.349
Fe3 Fe 0.209 0.282 0.879
Fe4 Fe 0.312 0.108 0.237
As1 As 0.325 0.398 0.672
As2 As 0.476 0.099 0.059
O1 O 0.022 0.202 0.493
O2 O 0.077 0.459 0.732
O3 O 0.222 0.455 0.499
O4 O 0.281 0.199 0.741
O5 O 0.346 0.412 0.296
O6 O 0.354 0.159 0.064
O7 O 0.445 0.339 0.662
O8 O 0.457 0.093 0.437
F1 F 0.118 0.068 0.909
F2 F 0.152 0.154 0.200
```